Compound: MnGaIr2
Source: Materials Project
Functional: GGA-PBE
Structure: relaxed

Structure (extended XYZ):
```
4
Lattice="-2.8685 0.5959 -0.8996 -0.2696 -2.8698 -1.0412 -2.0716 -1.7754 5.4296" Properties=species:S:1:pos:R:3 pbc="T T T"
Ir -3.1268 -2.4719 3.1124
Ga 0.0000 0.0000 0.0000
Mn -1.0358 -0.8877 2.7148
Ir -2.0829 -1.5773 0.3764
```

**Energy of formation from the pure elements**: -30.0 kJ per mole of atoms